Entry 1:
Material: HfCuSiAs
Method: DFT, PBE
State: relaxed

Geometry as POSCAR:
```
HfCuSiAs
1.0
3.655 0.000 0.000
0.000 3.655 0.000
0.000 0.000 9.571
Hf Cu Si As
2 2 2 2
Direct
0.000 0.500 0.780
0.500 0.000 0.220
0.500 0.500 0.500
0.000 0.000 0.500
0.500 0.500 0.000
0.000 0.000 0.000
0.000 0.500 0.319
0.500 0.000 0.681
```

Properties
The crystal system is tetragonal. The total magnetization comes out at 0.00 μB/f.u.


Entry 2:
Material: Cu6Hg3As4S12
Method: DFT, PBE
State: relaxed

Geometry as POSCAR:
```
Cu6Hg3As4S12
1.0
5.098 -6.954 0.000
5.098 6.954 0.000
-4.388 0.000 7.422
Cu Hg As S
6 3 4 12
Direct
0.901 0.744 0.270
0.270 0.901 0.744
0.580 0.787 0.528
0.787 0.528 0.580
0.744 0.270 0.901
0.528 0.580 0.787
0.672 0.056 0.200
0.056 0.200 0.672
0.200 0.672 0.056
0.431 0.367 0.145
0.145 0.431 0.367
0.367 0.145 0.431
0.995 0.995 0.995
0.687 0.621 0.364
0.621 0.364 0.687
0.364 0.687 0.621
0.045 0.769 0.819
0.475 0.931 0.351
0.931 0.351 0.475
0.351 0.475 0.931
0.512 0.160 0.978
0.819 0.045 0.769
0.978 0.512 0.160
0.769 0.819 0.045
0.160 0.978 0.512
```

Properties
The crystal system is trigonal. The total magnetization comes out at 0.00 μB/f.u.


Entry 3:
Material: Cu2As9P3S9I2
Method: DFT, PBE
State: relaxed

Geometry as POSCAR:
```
Cu2As9P3S9I2
1.0
14.170 0.000 0.000
0.000 12.454 0.000
0.000 0.760 16.333
Cu As P S I
8 36 12 36 8
Direct
0.737 0.305 0.579
0.237 0.695 0.921
0.263 0.695 0.421
0.763 0.305 0.079
0.777 0.283 0.817
0.277 0.717 0.683
0.223 0.717 0.183
0.723 0.283 0.317
0.756 0.863 0.685
0.256 0.137 0.815
0.244 0.137 0.315
0.744 0.863 0.185
0.791 0.969 0.808
0.291 0.031 0.692
0.209 0.031 0.192
0.709 0.969 0.308
0.623 0.942 0.763
0.123 0.058 0.737
0.377 0.058 0.237
0.877 0.942 0.263
0.460 0.342 0.575
0.960 0.658 0.925
0.540 0.658 0.425
0.040 0.342 0.075
0.990 0.352 0.558
0.490 0.648 0.942
0.010 0.648 0.442
0.510 0.352 0.058
0.138 0.337 0.948
0.638 0.663 0.552
0.862 0.663 0.052
0.362 0.337 0.448
0.080 0.165 0.016
0.580 0.835 0.484
0.920 0.835 0.984
0.420 0.165 0.516
0.406 0.330 0.934
0.906 0.670 0.566
0.594 0.670 0.066
0.094 0.330 0.434
0.467 0.168 0.014
0.967 0.832 0.486
0.533 0.832 0.986
0.033 0.168 0.514
0.732 0.136 0.637
0.232 0.864 0.863
0.268 0.864 0.363
0.768 0.136 0.137
0.907 0.292 0.900
0.407 0.708 0.600
0.093 0.708 0.100
0.593 0.292 0.400
0.636 0.279 0.883
0.136 0.721 0.617
0.364 0.721 0.117
0.864 0.279 0.383
0.775 0.994 0.584
0.275 0.006 0.916
0.225 0.006 0.416
0.725 0.994 0.084
0.822 0.134 0.742
0.322 0.866 0.758
0.178 0.866 0.258
0.678 0.134 0.242
0.600 0.098 0.687
0.100 0.902 0.813
0.400 0.902 0.313
0.900 0.098 0.187
0.604 0.373 0.512
0.104 0.627 0.988
0.396 0.627 0.488
0.896 0.373 0.012
0.850 0.374 0.488
0.350 0.626 0.012
0.150 0.626 0.512
0.650 0.374 0.988
0.027 0.364 0.848
0.527 0.636 0.652
0.973 0.636 0.152
0.473 0.364 0.348
0.949 0.138 0.939
0.449 0.862 0.561
0.051 0.862 0.061
0.551 0.138 0.439
0.513 0.346 0.831
0.013 0.654 0.669
0.487 0.654 0.169
0.987 0.346 0.331
0.594 0.130 0.934
0.094 0.870 0.566
0.406 0.870 0.066
0.906 0.130 0.434
0.767 0.435 0.701
0.267 0.565 0.799
0.233 0.565 0.299
0.733 0.435 0.201
0.778 0.719 0.376
0.278 0.281 0.124
0.222 0.281 0.624
0.722 0.719 0.876
```

Properties
The crystal system is monoclinic. The total magnetization comes out at 0.00 μB/f.u.


Entry 4:
Material: In2CuAsSe2
Method: DFT, PBE
State: relaxed

Geometry as POSCAR:
```
In2CuAsSe2
1.0
4.142 -0.361 -0.896
-2.045 8.719 -2.871
0.937 0.537 4.113
In Cu As Se
2 1 1 2
Direct
0.661 0.322 0.661
0.339 0.678 0.339
0.000 0.000 0.000
0.750 0.500 0.250
0.430 0.860 0.930
0.070 0.140 0.570
```

Properties
The crystal system is tetragonal. The total magnetization comes out at 0.00 μB/f.u.


Entry 5:
Material: K2CuAs
Method: DFT, PBE
State: relaxed

Geometry as POSCAR:
```
K2CuAs
1.0
-1.928 5.953 0.948
-0.934 -1.185 -6.147
-5.465 -1.962 1.208
K Cu As
4 2 2
Direct
0.978 0.317 0.750
0.022 0.683 0.250
0.683 0.022 0.250
0.317 0.978 0.750
0.500 0.500 0.500
0.500 0.500 0.000
0.740 0.740 0.750
0.260 0.260 0.250
```

Properties
The crystal system is orthorhombic.


Entry 6:
Material: KMg3CuAs3O12
Method: DFT, PBE
State: relaxed

Geometry as POSCAR:
```
KMg3CuAs3O12
1.0
-4.730 -2.971 -6.978
0.508 -8.135 3.668
-6.297 -1.365 2.436
K Mg Cu As O
2 6 2 6 24
Direct
0.515 0.485 0.250
0.485 0.515 0.750
0.242 0.758 0.250
0.758 0.242 0.750
0.562 0.878 0.366
0.438 0.122 0.634
0.122 0.438 0.134
0.878 0.562 0.866
0.998 0.002 0.250
0.002 0.998 0.750
0.785 0.215 0.250
0.215 0.785 0.750
0.378 0.148 0.129
0.622 0.852 0.871
0.852 0.622 0.371
0.148 0.378 0.629
0.491 0.829 0.118
0.509 0.171 0.882
0.171 0.509 0.382
0.829 0.491 0.618
0.673 0.249 0.477
0.327 0.751 0.523
0.751 0.327 0.023
0.249 0.673 0.977
0.676 0.686 0.374
0.324 0.314 0.626
0.314 0.324 0.126
0.686 0.676 0.874
0.776 0.017 0.261
0.224 0.983 0.739
0.983 0.224 0.239
0.017 0.776 0.761
0.224 0.000 0.186
0.776 0.000 0.814
0.000 0.776 0.314
0.000 0.224 0.686
0.471 0.093 0.321
0.529 0.907 0.679
0.907 0.529 0.179
0.093 0.471 0.821
```

Properties
The crystal system is monoclinic.


Entry 7:
Material: K2Cu3As4O12
Method: DFT, PBE
State: relaxed

Geometry as POSCAR:
```
K2Cu3As4O12
1.0
-5.761 1.391 0.781
-4.565 -2.053 -3.268
-5.277 -8.629 5.780
K Cu As O
2 3 4 12
Direct
0.362 0.362 0.424
0.638 0.638 0.576
0.236 0.236 0.760
0.000 0.000 0.000
0.764 0.764 0.240
0.083 0.083 0.307
0.917 0.917 0.693
0.328 0.328 0.045
0.672 0.672 0.955
0.891 0.403 0.353
0.882 0.362 0.884
0.403 0.891 0.353
0.145 0.145 0.141
0.109 0.597 0.647
0.912 0.912 0.357
0.597 0.109 0.647
0.638 0.118 0.116
0.118 0.638 0.116
0.362 0.882 0.884
0.088 0.088 0.643
0.855 0.855 0.859
```

Properties
The crystal system is monoclinic. The total magnetization comes out at 2.05 μB/f.u.


Entry 8:
Material: KCu2AsS3
Method: DFT, PBE
State: relaxed

Geometry as POSCAR:
```
KCu2AsS3
1.0
-0.895 5.366 -3.253
-8.198 0.685 3.584
4.059 5.221 7.967
K Cu As S
4 8 4 12
Direct
0.206 0.933 0.869
0.702 0.930 0.629
0.298 0.070 0.371
0.794 0.067 0.131
0.572 0.347 0.545
0.985 0.748 0.356
0.428 0.653 0.455
0.067 0.357 0.961
0.501 0.597 0.835
0.499 0.403 0.165
0.015 0.252 0.644
0.933 0.643 0.039
0.468 0.685 0.153
0.982 0.452 0.355
0.532 0.315 0.847
0.018 0.548 0.645
0.854 0.195 0.835
0.365 0.196 0.671
0.139 0.582 0.856
0.861 0.418 0.144
0.850 0.229 0.444
0.635 0.804 0.329
0.150 0.771 0.556
0.363 0.225 0.026
0.146 0.805 0.165
0.346 0.420 0.361
0.654 0.580 0.639
0.637 0.775 0.974
```

Properties
The crystal system is triclinic. The total magnetization comes out at 0.00 μB/f.u.


| no. | DFT total energy (eV per atom) |
| --- | --- |
| 1 | -6.574 |
| 2 | -3.932 |
| 3 | -4.447 |
| 4 | -3.897 |
| 5 | -3.093 |
| 6 | -5.955 |
| 7 | -5.588 |
| 8 | -4.230 |